Entry from the Materials Project: crystalline MgCo2Bi4O12 at its relaxed geometry (PBE with a Hubbard U).

Lattice parameters (Å, degrees): 5.561 5.561 9.640 88.83 91.17 105.01
Element x y z (fractional)
O 0.854 0.146 0.839
Bi 0.994 0.006 0.668
Bi 0.592 0.408 0.154
Co 0.002 0.998 0.990
O 0.298 0.283 0.994
O 0.685 0.684 0.654
O 0.156 0.844 0.195
Mg 0.305 0.695 0.355
O 0.842 0.158 0.138
Co 0.582 0.418 0.518
Bi 0.413 0.587 0.831
Bi 0.970 0.030 0.327
O 0.316 0.315 0.654
O 0.297 0.337 0.345
O 0.162 0.838 0.841
O 0.807 0.193 0.495
O 0.663 0.703 0.345
O 0.144 0.856 0.494
O 0.717 0.702 0.994

Output
The energy of formation is -1.42 eV/atom. The crystal system is monoclinic. For the total energy, the calculation gives -5.59 eV per atom. As for the space group: Cm (8). As for the energy above the lowest structure with this stoichiometry: 0.044 eV/atom. For the corrected total energy (MP2020 scheme), the calculation gives -6.1958 eV per atom. The calculation puts the spin magnetization at 0.000 μB/atom.